1.
18
Lattice="4.9628 0.0000 0.0000 -1.7439 6.2050 0.0000 -0.7048 -2.7676 6.3822" Properties=species:S:1:pos:R:3 comment="Na2Ni2O5 PBE+U relaxed" magmom_total_mub_per_fu=0.00 energy_mp2020_ev_per_cell=-98.17 sg=P1 pbc="T T T"
Na 0.0000 0.0000 0.0000
Na -0.3009 1.2847 2.6210
Na 0.6904 -0.4759 5.1498
Na 2.1099 1.9611 3.8525
Ni -1.0784 4.4147 2.5261
Ni 1.3980 3.7665 1.2803
Ni 3.1408 -1.0959 3.8085
Ni 3.8806 3.0590 0.0054
O -2.0115 4.0851 4.1117
O -0.2386 4.5974 0.8102
O 0.4756 2.2490 0.7056
O 1.5586 -0.2655 3.1434
O 0.5576 3.5591 3.0037
O 1.6127 1.2964 6.0604
O 2.6304 -1.3297 5.5952
O 2.2682 5.2995 2.0707
O 3.0357 2.8784 1.7335
O 3.7399 0.5116 4.5856

---

2.
10
Lattice="1.4327 -5.1083 0.0000 1.4327 5.1083 0.0000 0.0000 0.0000 8.3011" Properties=species:S:1:pos:R:3 comment="Na2NiO2 PBE+U relaxed" magmom_total_mub_per_fu=0.00 polymorph_energy_ev_per_atom=0.002 energy_mp2020_ev_per_cell=-49.72 sg=Cmc2_1 pbc="T T T"
Na 1.4327 4.0382 4.1506
Na 1.4327 1.5178 5.6309
Na 1.4327 -1.5178 1.4804
Na 1.4327 -4.0382 0.0000
Ni 1.4327 1.2469 2.8717
Ni 1.4327 -1.2469 7.0222
O 1.4327 4.9056 6.2899
O 1.4327 2.8370 7.8121
O 1.4327 -2.8370 3.6615
O 1.4327 -4.9056 2.1393

---

3.
29
Lattice="5.8543 0.0000 0.0000 1.3349 6.7384 0.0000 1.7733 0.9361 7.9440" Properties=species:S:1:pos:R:3 comment="Na5Ni8O16 PBE+U relaxed" energy_mp2020_ev_per_cell=-166.28 sg=P-1 pbc="T T T"
Na 0.0000 0.0000 0.0000
Na 1.5541 3.8372 3.9720
Na 3.2998 2.4866 5.7974
Na 2.9271 0.0000 0.0000
Na 5.6627 5.1879 2.1466
Ni 1.4412 2.6411 0.9853
Ni 3.0114 6.4946 4.9667
Ni 3.0119 1.1693 2.9544
Ni 4.5903 5.0437 6.9605
Ni 4.3722 2.6308 0.9836
Ni 5.9506 6.5051 4.9897
Ni 5.9511 1.1798 2.9773
Ni 7.5213 5.0333 6.9587
O 1.3303 4.3995 0.2513
O 1.7043 1.5026 4.2776
O 2.9819 4.7447 5.6520
O 1.4631 0.8918 1.6486
O 2.8788 2.9182 2.1907
O 4.6052 6.8232 6.3283
O 4.5357 3.2823 7.6168
O 4.4119 6.1944 3.7291
O 4.5506 1.4801 4.2149
O 4.4268 4.3922 0.3272
O 4.3573 0.8513 1.6157
O 6.0837 4.7563 5.7533
O 7.4994 6.7827 6.2954
O 5.9806 2.9298 2.2920
O 7.2582 6.1718 3.6664
O 7.6322 3.2750 7.6927

---

4.
18
Lattice="5.7057 0.0000 0.0000 2.1183 5.3033 0.0000 1.4078 2.3757 8.2256" Properties=species:S:1:pos:R:3 comment="Na4NiO4 PBE+U relaxed" magmom_total_mub_per_fu=4.00 energy_mp2020_ev_per_cell=-85.86 sg=P-1 pbc="T T T"
Na 2.4545 2.7146 0.5951
Na 2.5947 2.4204 3.9725
Na 3.6376 4.7687 5.5859
Na 2.8359 2.3976 7.3869
Na 6.3960 5.2815 0.8387
Na 5.5942 2.9103 2.6397
Na 6.6372 5.2587 4.2532
Na 6.7774 4.9644 7.6306
Ni 3.4055 5.1092 2.1010
Ni 5.8263 2.5699 6.1246
O 0.6759 1.2239 1.1447
O 1.9128 4.0881 2.4957
O 4.4217 5.4844 3.5309
O 4.3806 4.0271 0.9530
O 4.8512 3.6519 7.2726
O 4.8102 2.1947 4.6947
O 7.3191 3.5909 5.7299
O 8.5560 6.4552 7.0809

---

5.
37
Lattice="2.9414 0.0000 0.0000 -0.2811 10.9910 0.0000 -0.3215 -3.8007 12.1132" Properties=species:S:1:pos:R:3 comment="Na7Ni10O20 PBE+U relaxed" energy_mp2020_ev_per_cell=-210.89 sg=P-1 pbc="T T T"
Na 0.0000 0.0000 0.0000
Na -0.3443 1.3748 10.0254
Na 1.1633 0.9917 6.9899
Na 1.3571 0.4223 2.8056
Na 0.9817 6.7680 9.3076
Na 1.1756 6.1986 5.1232
Na 2.6832 5.8155 2.0878
Ni -0.3013 3.5952 6.0566
Ni -0.3383 8.7224 3.6414
Ni -0.4640 4.3076 10.8999
Ni 1.2385 3.3286 3.6144
Ni 1.1254 -1.3031 10.9100
Ni 1.3100 -1.9004 6.0566
Ni 1.2135 8.4934 1.2032
Ni 1.1004 3.8617 8.4988
Ni 2.8029 2.8828 1.2133
Ni 2.6771 -1.5321 8.4718
O -0.1181 2.1676 2.9484
O -0.2571 2.6704 7.7983
O -0.2033 -2.4360 10.1400
O -0.1148 7.3920 0.4999
O -0.2871 7.9282 5.3376
O 0.9269 8.3820 7.7860
O 1.2505 4.0500 1.8773
O 1.1353 7.6016 2.9532
O 1.1991 2.5762 5.3423
O 0.9213 5.5109 11.5363
O 1.4176 1.6795 0.5769
O 1.1398 4.6141 6.7709
O 1.2036 -0.4112 9.1600
O 1.0884 3.1403 10.2359
O 1.4119 -1.1917 4.3271
O 2.6260 -0.7379 6.7755
O 2.4536 -0.2017 11.6133
O 2.5422 9.6264 1.9732
O 2.5959 4.5199 4.3149
O 2.4569 5.0227 9.1648

---

6.
27
Lattice="3.9014 2.2525 5.3387 -3.9014 2.2525 5.3387 0.0000 -4.5050 5.3387" Properties=species:S:1:pos:R:3 comment="Na6Ni7O14 PBE+U relaxed" energy_mp2020_ev_per_cell=-152.06 sg=R-3 pbc="T T T"
Na -2.7094 -0.9266 7.9586
Na -0.5522 -2.8098 8.0574
Na -2.1572 1.8831 8.0574
Na 2.1572 -1.8831 7.9586
Na 0.5522 2.8097 7.9586
Na 2.7094 0.9266 8.0574
Ni 0.0000 0.0000 0.0000
Ni -1.6797 0.3591 5.3548
Ni 0.5288 -1.6342 5.3548
Ni -1.1508 -1.2751 10.6612
Ni 1.1508 1.2751 5.3548
Ni -0.5288 1.6342 10.6612
Ni 1.6797 -0.3591 10.6612
O -3.3105 0.7711 6.3887
O -2.3231 -2.4814 9.6273
O -1.1120 -1.3925 6.3160
O 0.0000 0.0000 4.3167
O 0.9874 -3.2525 6.3887
O -1.7620 0.2668 9.7001
O -0.6499 1.6593 6.3160
O 0.6499 -1.6593 9.7001
O 1.7620 -0.2668 6.3160
O -0.9874 3.2525 9.6273
O 0.0000 0.0000 11.6993
O 1.1120 1.3925 9.7001
O 2.3230 2.4814 6.3887
O 3.3105 -0.7711 9.6273

---

| no. | energy of formation (meV/atom) | V (Å³/atom) |
| --- | --- | --- |
| 1 | -1127 | 10.9 |
| 2 | -1307 | 12.2 |
| 3 | -1181 | 10.8 |
| 4 | -1341 | 13.8 |
| 5 | -1213 | 10.6 |
| 6 | -1274 | 10.4 |